No. 1
VASP calculation (PBE-GGA) on a relaxed structure of BaO2.

Properties
Formation energy from the elements ... -1751 meV per atom
E (MP2020) ... -136.6 eV for the cell shown
Final energy ... -125.56 eV for the cell shown

Geometry as POSCAR:
```
BaO2
1.0
-3.2556 -1.9584 6.6190
1.7077 -5.5066 -0.7893
9.7959 -3.5459 3.7691
Ba O
8 16
direct
0.1093 0.8643 0.8859 Ba
0.3907 0.8643 0.3859 Ba
0.8907 0.1357 0.1141 Ba
0.6093 0.1357 0.6141 Ba
0.0572 0.3860 0.3626 Ba
0.4428 0.3860 0.8626 Ba
0.9428 0.6140 0.6374 Ba
0.5572 0.6140 0.1374 Ba
0.9757 0.1296 0.6304 O
0.5243 0.1296 0.1304 O
0.0243 0.8704 0.3696 O
0.4757 0.8704 0.8696 O
0.9009 0.6346 0.1142 O
0.5991 0.6346 0.6142 O
0.0991 0.3654 0.8858 O
0.4009 0.3654 0.3858 O
0.7292 0.0576 0.8918 O
0.7708 0.0576 0.3918 O
0.2708 0.9424 0.1082 O
0.2292 0.9424 0.6082 O
0.7589 0.6592 0.3886 O
0.7411 0.6592 0.8886 O
0.2411 0.3408 0.6114 O
0.2589 0.3408 0.1114 O
```

---

No. 2
VASP calculation (PBE-GGA) on a relaxed structure of Ga2O3.

Properties
Formation energy from the elements ... -2083 meV per atom
E (MP2020) ... -501.0 eV for the cell shown
Final energy ... -468.03 eV for the cell shown

Geometry as POSCAR:
```
Ga2O3
1.0
10.0356 0.0399 -0.0244
0.0490 10.0675 -0.2656
-0.0265 -0.2656 10.0411
Ga O
32 48
direct
0.4116 0.6861 0.8607 Ga
0.6084 0.2253 0.7968 Ga
0.1693 0.2424 0.1063 Ga
0.0337 0.0034 0.0724 Ga
0.4235 0.4750 0.6240 Ga
0.1002 0.3644 0.6381 Ga
0.7582 0.7185 0.8607 Ga
0.7806 0.9988 0.2657 Ga
0.0100 0.8666 0.7226 Ga
0.4615 0.9429 0.3397 Ga
0.7471 0.0189 0.6222 Ga
0.2646 0.2206 0.4175 Ga
0.8583 0.5825 0.1366 Ga
0.9171 0.6196 0.5633 Ga
0.7664 0.3275 0.5395 Ga
0.2372 0.8576 0.5309 Ga
0.5429 0.7556 0.6080 Ga
0.7423 0.2863 0.1014 Ga
0.4286 0.4597 0.0988 Ga
0.1671 0.6614 0.0630 Ga
0.3327 0.0345 0.9433 Ga
0.3286 0.2916 0.8315 Ga
0.0381 0.8118 0.3393 Ga
0.6596 0.5466 0.3634 Ga
0.9844 0.4046 0.3561 Ga
0.5721 0.7589 0.1250 Ga
0.8451 0.4238 0.8302 Ga
0.0187 0.1368 0.8400 Ga
0.6458 0.9885 0.9729 Ga
0.5068 0.3026 0.3270 Ga
0.3375 0.6435 0.3055 Ga
0.0037 0.0926 0.4952 Ga
0.3786 0.6548 0.6759 O
0.2533 0.4181 0.7256 O
0.8815 0.4001 0.1750 O
0.8050 0.4747 0.6584 O
0.5710 0.5870 0.5217 O
0.4122 0.1283 0.3347 O
0.4714 0.5138 0.2858 O
0.4713 0.9212 0.9904 O
0.8979 0.7222 0.7380 O
0.1871 0.8744 0.7002 O
0.9319 0.2746 0.4719 O
0.1591 0.1968 0.5610 O
0.6814 0.8615 0.5680 O
0.0014 0.1887 0.0355 O
0.7361 0.1015 0.1159 O
0.6741 0.3530 0.3825 O
0.2008 0.7178 0.4010 O
0.9424 0.0434 0.6698 O
0.3888 0.3532 0.4718 O
0.4533 0.1545 0.8674 O
0.2551 0.5467 0.1629 O
0.1331 0.9731 0.4148 O
0.6954 0.6370 0.2067 O
0.1449 0.2966 0.2876 O
0.9508 0.9316 0.2139 O
0.7212 0.8233 0.0171 O
0.7018 0.0534 0.8176 O
0.8514 0.5479 0.3963 O
0.4920 0.6068 0.0093 O
0.2990 0.3374 0.0188 O
0.2188 0.0516 0.0992 O
0.2066 0.1383 0.8417 O
0.5551 0.3166 0.1418 O
0.2384 0.7336 0.9256 O
0.0664 0.4972 0.5220 O
0.6244 0.9082 0.2607 O
0.5881 0.7320 0.7930 O
0.4189 0.8797 0.5058 O
0.7306 0.3166 0.9186 O
0.4994 0.3800 0.7637 O
0.9901 0.3141 0.7815 O
0.8443 0.5740 0.9471 O
0.6764 0.1974 0.6213 O
0.9644 0.7863 0.5047 O
0.8271 0.0461 0.4366 O
0.0156 0.6817 0.1697 O
0.4084 0.7920 0.2267 O
0.9878 0.9552 0.8997 O
```

---

No. 3
VASP calculation (PBE-GGA) on a relaxed structure of Lu4CuGe8.

Properties
Formation energy from the elements ... -527 meV per atom
Final energy ... -66.02 eV for the cell shown

Geometry as POSCAR:
```
Lu4CuGe8
1.0
0.0000 0.0000 3.9354
4.0200 0.0000 0.0000
0.0000 16.2424 0.0000
Lu Cu Ge
4 1 8
direct
0.2500 0.0000 0.0967 Lu
0.2500 0.5000 0.6079 Lu
0.7500 0.5000 0.3968 Lu
0.7500 0.0000 0.8927 Lu
0.2500 0.0000 0.3214 Cu
0.2500 0.5000 0.2341 Ge
0.2500 0.0000 0.7465 Ge
0.7500 0.0000 0.2335 Ge
0.7500 0.5000 0.7543 Ge
0.2500 0.0000 0.4644 Ge
0.2500 0.5000 0.9439 Ge
0.7500 0.5000 0.0472 Ge
0.7500 0.0000 0.5636 Ge
```

---

No. 4
VASP calculation (PBE-GGA) on a relaxed structure of As4Pb8Cl6O11.

Properties
Formation energy from the elements ... -1449 meV per atom
E (MP2020) ... -623.5 eV for the cell shown
Final energy ... -593.23 eV for the cell shown

Geometry as POSCAR:
```
As4Pb8Cl6O11
1.0
-11.4372 0.4200 0.2052
-0.1314 -0.2706 -6.7694
-1.3096 -35.1542 -1.0406
As Pb Cl O
16 32 24 44
direct
0.3772 0.3013 0.8461 As
0.6285 0.2761 0.4456 As
0.1200 0.2661 0.4433 As
0.6200 0.7339 0.0567 As
0.3721 0.6829 0.6527 As
0.3715 0.7239 0.5544 As
0.8721 0.3171 0.8473 As
0.3800 0.2661 0.9433 As
0.8772 0.6987 0.6539 As
0.1279 0.6829 0.1527 As
0.8715 0.2761 0.9456 As
0.1285 0.7239 0.0544 As
0.1228 0.3013 0.3461 As
0.8800 0.7339 0.5567 As
0.6279 0.3171 0.3473 As
0.6228 0.6987 0.1539 As
0.8704 0.7984 0.9917 Pb
0.6280 0.1948 0.0143 Pb
0.6203 0.7153 0.7105 Pb
0.3820 0.8387 0.8206 Pb
0.6358 0.9852 0.9114 Pb
0.8642 0.9852 0.4114 Pb
0.9210 0.0627 0.0958 Pb
0.1296 0.2016 0.0083 Pb
0.3825 0.1738 0.6700 Pb
0.3720 0.8052 0.9857 Pb
0.8720 0.1948 0.5143 Pb
0.4210 0.9373 0.4042 Pb
0.8711 0.2841 0.2877 Pb
0.6175 0.8262 0.3300 Pb
0.8825 0.8262 0.8300 Pb
0.1175 0.1738 0.1700 Pb
0.1180 0.8387 0.3206 Pb
0.1289 0.7159 0.7123 Pb
0.0790 0.9373 0.9042 Pb
0.3642 0.0148 0.0886 Pb
0.1203 0.2847 0.7895 Pb
0.1358 0.0148 0.5886 Pb
0.3797 0.2847 0.2895 Pb
0.8797 0.7153 0.2105 Pb
0.8820 0.1613 0.6794 Pb
0.6180 0.1613 0.1794 Pb
0.6296 0.7984 0.4917 Pb
0.3704 0.2016 0.5083 Pb
0.6289 0.2841 0.7877 Pb
0.1280 0.8052 0.4857 Pb
0.5790 0.0627 0.5958 Pb
0.3711 0.7159 0.2123 Pb
0.1263 0.6254 0.9641 Cl
0.8701 0.6448 0.3190 Cl
0.1391 0.3599 0.5416 Cl
0.1299 0.3552 0.6810 Cl
0.6299 0.6448 0.8190 Cl
0.1199 0.5284 0.2483 Cl
0.1144 0.7265 0.3936 Cl
0.8656 0.3456 0.1821 Cl
0.3609 0.3599 0.0416 Cl
0.3701 0.3552 0.1810 Cl
0.8737 0.3746 0.0359 Cl
0.8801 0.4716 0.7517 Cl
0.6391 0.6401 0.9584 Cl
0.8609 0.6401 0.4584 Cl
0.3856 0.7265 0.8936 Cl
0.1344 0.6544 0.8179 Cl
0.8856 0.2735 0.6064 Cl
0.3801 0.5284 0.7483 Cl
0.6144 0.2735 0.1064 Cl
0.3737 0.6254 0.4641 Cl
0.6263 0.3746 0.5359 Cl
0.6344 0.3456 0.6821 Cl
0.3656 0.6544 0.3179 Cl
0.6199 0.4716 0.2517 Cl
0.0019 0.8339 0.1628 O
0.9986 0.0989 0.4573 O
0.8686 0.8111 0.6056 O
0.5029 0.8536 0.1685 O
0.5857 0.7930 0.3897 O
0.7303 0.9000 0.0369 O
0.7564 0.1042 0.9619 O
0.4900 0.8966 0.5433 O
0.9143 0.7930 0.8897 O
0.4981 0.8339 0.6628 O
0.7697 0.9000 0.5369 O
0.8436 0.2164 0.8960 O
0.2335 0.1439 0.3267 O
0.4971 0.1464 0.8315 O
0.7343 0.1546 0.3285 O
0.1314 0.1889 0.3944 O
0.9900 0.1034 0.9567 O
0.0029 0.1464 0.3315 O
0.5100 0.1034 0.4567 O
0.2436 0.8958 0.0381 O
0.9971 0.8536 0.6685 O
0.1564 0.7836 0.1040 O
0.2657 0.8454 0.6715 O
0.7665 0.8561 0.6733 O
0.7436 0.1042 0.4619 O
0.2303 0.1000 0.4631 O
0.9981 0.1661 0.8372 O
0.6314 0.8111 0.1056 O
0.2665 0.1439 0.8267 O
0.0100 0.8966 0.0433 O
0.7657 0.1546 0.8285 O
0.0857 0.2070 0.1103 O
0.2564 0.8958 0.5381 O
0.0014 0.9011 0.5427 O
0.4143 0.2070 0.6103 O
0.6564 0.2164 0.3960 O
0.2697 0.1000 0.9631 O
0.7335 0.8561 0.1733 O
0.5014 0.0989 0.9573 O
0.5019 0.1661 0.3372 O
0.4986 0.9011 0.0427 O
0.2343 0.8454 0.1715 O
0.3436 0.7836 0.6040 O
0.3686 0.1889 0.8944 O
```

---

No. 5
VASP calculation (PBE-GGA) on a relaxed structure of Sr2HfO4.

Properties
Formation energy from the elements ... -3589 meV per atom
E (MP2020) ... -233.0 eV for the cell shown
ΔE to the lowest computed polymorph ... 7 meV per atom
Final energy ... -222.02 eV for the cell shown

Geometry as POSCAR:
```
Sr2HfO4
1.0
13.4033 2.0955 -2.2770
9.5762 9.0580 -3.9337
-11.0187 -4.4005 6.9604
Sr Hf O
8 4 16
direct
0.9246 0.4246 0.5000 Sr
0.3254 0.3254 0.0000 Sr
0.0754 0.5754 0.5000 Sr
0.1746 0.1746 0.0000 Sr
0.8254 0.8254 0.0000 Sr
0.4246 0.9246 0.5000 Sr
0.5754 0.0754 0.5000 Sr
0.6746 0.6746 0.0000 Sr
0.5000 0.5000 0.0000 Hf
0.7500 0.2500 0.5000 Hf
0.0000 0.0000 0.0000 Hf
0.2500 0.7500 0.5000 Hf
0.9493 0.9493 0.3987 O
0.4493 0.0507 0.0000 O
0.6695 0.1695 0.5000 O
0.4195 0.4195 0.0000 O
0.8305 0.3305 0.5000 O
0.5805 0.5805 0.0000 O
0.0507 0.4493 0.0000 O
0.1993 0.6993 0.8987 O
0.5507 0.5507 0.6013 O
0.6993 0.8007 0.5000 O
0.0805 0.0805 0.0000 O
0.9195 0.9195 0.0000 O
0.1695 0.6695 0.5000 O
0.3305 0.8305 0.5000 O
0.3007 0.1993 0.5000 O
0.8007 0.3007 0.1013 O
```

---

No. 6
VASP calculation (PBE-GGA) on a relaxed structure of PtPb2.

Properties
Formation energy from the elements ... -142 meV per atom
Final energy ... -27.85 eV for the cell shown

Geometry as POSCAR:
```
PtPb2
1.0
4.6414 -3.4699 0.3687
-5.0755 -1.7304 2.2278
-0.9997 0.5050 -5.6977
Pt Pb
2 4
direct
0.7500 0.7500 0.0000 Pt
0.2500 0.2500 0.0000 Pt
0.6609 0.1609 0.8218 Pb
0.1609 0.3391 0.5000 Pb
0.8391 0.6609 0.5000 Pb
0.3391 0.8391 0.1782 Pb
```

---

No. 7
VASP calculation (PBE-GGA) on a relaxed structure of LaNb2CuBrO7.

Properties
Formation energy from the elements ... -2742 meV per atom
E (MP2020) ... -393.6 eV for the cell shown
ΔE to the lowest computed polymorph ... 0 meV per atom
Final energy ... -374.41 eV for the cell shown

Geometry as POSCAR:
```
LaNb2CuBrO7
1.0
7.9020 0.0000 0.0000
0.0000 7.9324 0.0000
0.0000 0.0000 11.7849
La Nb Cu Br O
4 8 4 4 28
direct
0.0000 0.2366 0.0000 La
0.0000 0.7634 0.0000 La
0.5000 0.2634 0.0000 La
0.5000 0.7366 0.0000 La
0.7517 0.5002 0.1891 Nb
0.2483 0.4998 0.1891 Nb
0.2517 0.9998 0.8109 Nb
0.7483 0.0002 0.8109 Nb
0.2483 0.4998 0.8109 Nb
0.7517 0.5002 0.8109 Nb
0.7483 0.0002 0.1891 Nb
0.2517 0.9998 0.1891 Nb
0.7717 0.4948 0.5000 Cu
0.2283 0.5052 0.5000 Cu
0.2717 0.0052 0.5000 Cu
0.7283 0.9948 0.5000 Cu
0.9439 0.2295 0.5000 Br
0.0561 0.7705 0.5000 Br
0.4439 0.2705 0.5000 Br
0.5561 0.7295 0.5000 Br
0.0000 0.5000 0.1336 O
0.5000 0.0000 0.8664 O
0.0000 0.5000 0.8664 O
0.5000 0.0000 0.1336 O
0.5000 0.5000 0.1824 O
0.0000 0.0000 0.8176 O
0.5000 0.5000 0.8176 O
0.0000 0.0000 0.1824 O
0.7498 0.2500 0.1514 O
0.2502 0.7500 0.1514 O
0.2498 0.2500 0.8486 O
0.7502 0.7500 0.8486 O
0.2502 0.7500 0.8486 O
0.7498 0.2500 0.8486 O
0.7502 0.7500 0.1514 O
0.2498 0.2500 0.1514 O
0.6986 0.5000 0.0000 O
0.3014 0.5000 0.0000 O
0.1986 0.0000 0.0000 O
0.8014 0.0000 0.0000 O
0.7794 0.4997 0.3414 O
0.2206 0.5003 0.3414 O
0.2794 0.0003 0.6586 O
0.7206 0.9997 0.6586 O
0.2206 0.5003 0.6586 O
0.7794 0.4997 0.6586 O
0.7206 0.9997 0.3414 O
0.2794 0.0003 0.3414 O
```

---

Which of these has the lowest formation energy from the elements? Sr2HfO4

---

Which formula does entry 5 have? Sr2HfO4